## K4SiO4 (r2SCAN)

Data for an optimized crystal structure of K4SiO4. Values from VASP.

```
&SYSTEM
  ibrav = 0, nat = 36, ntyp = 3
/
ATOMIC_SPECIES
O 16.00 O.upf
K 39.10 K.upf
Si 28.09 Si.upf
CELL_PARAMETERS angstrom
6.421 0.000 0.000
0.000 10.317 0.043
0.000 3.935 9.552
ATOMIC_POSITIONS angstrom
O 6.413 2.458 2.124
O 0.145 10.153 2.900
K 0.704 4.930 1.542
O 3.065 4.994 2.879
Si 4.058 6.206 2.326
Si 2.363 8.046 7.269
O 1.699 8.428 8.727
O 3.219 7.616 2.146
O 4.910 0.665 0.846
O 3.356 9.257 6.717
O 0.008 11.794 7.471
Si 0.848 13.204 7.291
K 3.915 4.164 8.032
K 2.009 5.327 5.467
K 3.806 3.354 0.619
O 4.347 11.563 3.451
K 1.067 7.754 3.535
O 2.074 2.689 6.145
K 2.615 10.898 8.976
O 3.202 6.635 7.449
O 1.136 7.847 6.166
O 4.722 5.824 0.868
K 2.144 2.596 3.513
K 5.354 6.497 6.061
O 6.275 4.099 6.695
K 5.219 3.766 4.106
K 4.412 8.925 4.128
O 1.511 13.586 8.749
K 1.202 10.485 5.489
K 4.277 11.656 6.082
O 5.285 6.404 3.429
K 0.596 5.739 8.955
Si 5.573 1.048 2.304
K 2.506 10.088 1.563
K 5.717 9.322 8.054
K 5.825 8.512 0.641
```

Final energy = -8.526 eV per atom
Calculated formation energy = -2.222 eV/atom
Symmetry = P2_1/c, No. 14



## K2ZnSi4O10 (r2SCAN)

Data for an optimized crystal structure of K2ZnSi4O10. Values from VASP.

```
&SYSTEM
  ibrav = 0, nat = 68, ntyp = 4
/
ATOMIC_SPECIES
Si 28.09 Si.upf
O 16.00 O.upf
Zn 65.41 Zn.upf
K 39.10 K.upf
CELL_PARAMETERS angstrom
7.063 0.000 0.000
0.000 10.056 0.000
0.000 0.000 14.040
ATOMIC_POSITIONS angstrom
Si 1.237 9.063 10.216
Si 1.666 3.466 11.516
O 3.585 1.395 2.289
Zn 3.415 8.102 12.018
K 5.183 0.969 12.352
O 0.642 0.328 6.000
O 7.011 8.661 9.309
O 5.130 2.723 10.272
Si 5.397 8.493 9.544
Si 5.189 4.418 1.379
Si 0.213 9.876 1.106
Si 3.745 5.207 12.934
O 2.890 9.727 13.020
Zn 0.117 1.953 4.998
O 2.168 2.108 12.271
O 3.704 6.738 13.350
Si 1.866 6.590 4.496
K 3.444 8.317 1.414
Si 2.294 0.992 3.196
O 1.996 3.496 9.962
O 3.359 1.711 7.710
O 1.344 0.078 2.245
O 1.598 2.304 3.768
Si 5.826 4.035 10.844
O 5.830 0.318 1.668
O 4.765 9.738 8.688
O 1.364 7.948 5.251
Si 5.198 1.562 2.524
O 4.173 4.699 8.040
O 1.536 6.559 2.942
O 0.053 3.633 11.751
Si 5.406 5.637 8.399
O 0.173 8.345 0.690
K 3.619 3.290 5.606
O 0.753 0.037 11.402
O 5.719 5.106 4.775
K 1.652 4.058 1.688
O 6.310 5.065 9.658
Zn 6.947 6.981 2.022
O 0.564 0.787 13.869
O 3.479 6.423 4.731
Si 1.657 0.610 12.661
O 2.779 10.019 4.382
Zn 3.648 3.075 9.042
O 5.465 7.332 3.252
O 2.968 9.269 6.849
K 6.976 6.766 12.625
Si 1.875 9.446 5.641
O 5.067 8.524 11.097
K 1.880 5.997 8.708
K 0.087 1.738 8.434
Si 6.850 4.848 5.914
O 5.700 2.920 1.769
O 6.422 5.356 1.020
O 4.285 4.991 2.638
Si 4.769 6.020 3.824
O 6.891 3.317 6.330
O 1.233 5.346 5.352
O 1.933 7.751 10.788
O 4.895 7.136 8.789
O 4.096 4.241 0.171
O 5.528 1.532 4.077
K 5.412 9.086 5.332
O 2.187 9.977 9.265
O 2.299 4.710 12.372
Si 3.318 0.180 8.126
O 4.876 4.949 11.795
O 6.500 5.814 7.191
```

Final energy = -9.573 eV per atom
Calculated formation energy = -2.763 eV/atom
Symmetry = P2_12_12_1, No. 19



## KSmO2 (r2SCAN)

Data for an optimized crystal structure of KSmO2. Values from VASP.

```
&SYSTEM
  ibrav = 0, nat = 4, ntyp = 3
/
ATOMIC_SPECIES
K 39.10 K.upf
O 16.00 O.upf
Sm 150.36 Sm.upf
CELL_PARAMETERS angstrom
6.298 -1.781 -0.009
6.298 1.781 -0.009
5.799 0.000 3.035
ATOMIC_POSITIONS angstrom
K 0.000 0.000 0.000
O 14.159 0.000 2.321
Sm 9.198 0.000 1.508
O 4.237 0.000 0.695
```

Final energy = -14.857 eV per atom
Calculated formation energy = -2.933 eV/atom
Symmetry = R-3m, No. 166



## K4SnO3 (r2SCAN)

Data for an optimized crystal structure of K4SnO3. Values from VASP.

```
&SYSTEM
  ibrav = 0, nat = 64, ntyp = 3
/
ATOMIC_SPECIES
O 16.00 O.upf
Sn 118.71 Sn.upf
K 39.10 K.upf
CELL_PARAMETERS angstrom
-0.959 -4.202 -4.837
-3.763 -7.603 7.351
-17.564 6.555 -2.211
ATOMIC_POSITIONS angstrom
O -8.986 -1.549 2.048
Sn -14.133 -2.625 -0.208
O -8.792 -4.527 0.989
Sn -17.179 0.792 1.767
K -16.121 -4.039 2.771
K -17.984 -2.223 0.074
O -7.314 -2.489 -4.716
K -4.320 -8.120 1.204
O -18.150 0.389 0.003
O -2.534 -2.416 2.228
K -5.944 -5.778 5.114
K -17.965 2.870 -0.900
K -12.524 1.383 -1.971
K -6.165 -1.212 -2.467
O -18.752 -3.630 2.186
O -11.108 -6.405 4.509
K -9.762 -6.633 2.275
K -11.634 -1.773 -2.461
K -8.121 -3.882 -2.609
O -13.493 -0.723 -0.686
O -11.178 1.155 -4.205
K -16.342 0.528 -4.810
K -2.976 -5.076 2.767
K -14.165 -1.368 2.913
K -11.318 -0.877 0.901
Sn -6.719 -8.665 3.569
O -4.136 -5.639 0.300
K -10.651 -3.477 2.765
K -4.038 0.275 0.158
Sn -9.765 -5.248 5.544
O -17.274 -1.592 -3.520
O -3.533 -1.620 -1.882
K -19.310 -0.175 -2.463
O -12.831 -3.137 1.305
Sn -15.567 3.415 -3.266
K -8.436 -6.723 -0.760
O -19.752 -2.834 -1.924
K -15.976 -0.014 -1.562
K -13.214 -4.740 4.506
O -10.552 2.404 -0.369
K -9.072 -0.510 -4.202
Sn -12.521 -0.002 -5.240
O -6.258 -10.495 2.761
O -17.474 2.707 -3.598
Sn -5.106 -6.043 -1.463
O -13.300 -3.702 -1.744
K -4.302 -3.027 0.229
K -13.849 1.473 1.064
K -1.081 -1.212 -0.838
Sn -8.153 -2.626 0.512
K -2.395 -4.126 -2.250
O -16.028 5.245 -2.458
K -6.310 -5.236 1.866
K -13.560 -5.767 0.992
O -9.455 -2.113 -1.001
K -18.247 -5.525 0.146
O -4.812 -7.957 3.902
K -10.967 -4.373 -0.597
K -21.205 -4.038 1.142
O -11.734 -7.654 0.673
K -8.726 0.517 -0.688
O -5.012 -3.658 3.823
K -19.891 -1.124 2.553
O -14.972 -2.761 5.020
```

Final energy = -9.831 eV per atom
Calculated formation energy = -1.489 eV/atom
Symmetry = Pbca, No. 61